Entry 1:
! PBE with a Hubbard U MgMnP2O7, relaxed; values from VASP
! - Polymorph energy (0 for the lowest one): 0.001 eV per atom
&SYSTEM
  ibrav = 0, nat = 44, ntyp = 4
/
ATOMIC_SPECIES
O 16.00 O.upf
Mg 24.30 Mg.upf
P 30.97 P.upf
Mn 54.94 Mn.upf
CELL_PARAMETERS angstrom
6.236 1.334 3.203
-1.008 5.226 7.178
-4.700 -5.179 6.587
ATOMIC_POSITIONS crystal
O 0.652 0.083 0.346
O 0.348 0.417 0.154
O 0.222 0.099 0.361
O 0.683 0.551 0.346
O 0.268 0.230 0.567
O 0.459 0.677 0.496
O 0.862 0.958 0.139
O 0.137 0.042 0.861
O 0.732 0.270 0.933
O 0.731 0.770 0.433
O 0.682 0.051 0.846
O 0.269 0.730 0.067
O 0.042 0.833 0.499
O 0.958 0.667 0.001
O 0.138 0.542 0.361
O 0.222 0.599 0.861
O 0.958 0.166 0.501
O 0.778 0.401 0.139
O 0.318 0.449 0.654
O 0.541 0.323 0.504
O 0.541 0.823 0.004
O 0.651 0.583 0.846
O 0.317 0.949 0.154
O 0.778 0.901 0.639
O 0.042 0.334 0.999
O 0.349 0.917 0.654
O 0.459 0.177 0.996
O 0.863 0.458 0.639
Mg 0.654 0.832 0.817
Mg 0.654 0.332 0.317
Mg 0.346 0.668 0.683
Mg 0.346 0.168 0.183
P 0.803 0.902 0.484
P 0.315 0.897 0.014
P 0.197 0.598 0.016
P 0.197 0.098 0.516
P 0.685 0.603 0.486
P 0.315 0.397 0.514
P 0.803 0.402 0.984
P 0.685 0.103 0.986
Mn 0.841 0.121 0.692
Mn 0.159 0.879 0.308
Mn 0.841 0.621 0.192
Mn 0.159 0.379 0.808

---

Entry 2:
! PBE with a Hubbard U RbMg6MnO8, relaxed; values from VASP
! - Energy: -5.647 eV per atom
&SYSTEM
  ibrav = 0, nat = 16, ntyp = 4
/
ATOMIC_SPECIES
O 16.00 O.upf
Rb 85.47 Rb.upf
Mn 54.94 Mn.upf
Mg 24.30 Mg.upf
CELL_PARAMETERS angstrom
9.072 0.000 0.000
0.000 4.462 0.000
0.000 0.000 4.462
ATOMIC_POSITIONS crystal
O 0.000 0.500 0.000
O 0.500 0.500 0.000
O 0.258 0.000 0.000
O 0.500 0.000 0.500
O 0.742 0.000 0.000
O 0.281 0.500 0.500
O 0.719 0.500 0.500
O 0.000 0.000 0.500
Rb 0.000 0.500 0.500
Mn 0.000 0.000 0.000
Mg 0.269 0.000 0.500
Mg 0.500 0.000 0.000
Mg 0.269 0.500 0.000
Mg 0.731 0.500 0.000
Mg 0.500 0.500 0.500
Mg 0.731 0.000 0.500